An optimized crystal structure of Sr2InHg, computed with PBE-GGA.

Output
Energy of formation   -484 meV per atom
Density   6.1 g/cm3
Crystal system   cubic
Raw total energy   -2.0928 eV per atom

abc: 5.7315 5.7315 5.7315
angles: 60.00 60.00 60.00
Last column: nearest neighbours and their distance in Å.
Sites, in units of the cell vectors:
Sr1 0.2500 0.2500 0.2500  4 Hg 3.51, 4 In 3.51
Sr2 0.7500 0.7500 0.7500  4 In 3.51, 4 Hg 3.51
In1 0.0000 0.0000 0.0000  8 Sr 3.51
Hg1 0.5000 0.5000 0.5000  8 Sr 3.51

---

An optimized crystal structure of AgBHC12N9F18, computed with PBE-GGA.

Output
Spin magnetization   0.00 μB/atom
Energy of formation   -1072 meV per atom
Density   2.2 g/cm3
Crystal system   orthorhombic
Raw total energy   -6.4250 eV per atom

abc: 8.5587 13.7522 18.9837
angles: 90.00 90.00 90.00
Last column: nearest neighbours and their distance in Å.
Sites, in units of the cell vectors:
Ag1 0.4511 0.1371 0.2847  4 N 2.42-2.57
Ag2 0.0489 0.8629 0.7847  4 N 2.42-2.57
Ag3 0.5489 0.6371 0.2153  4 N 2.42-2.57
Ag4 0.9511 0.3629 0.7153  4 N 2.42-2.57
B1 0.6982 0.4629 0.1002  1 H 1.19
B2 0.8018 0.5371 0.6002  1 H 1.19
B3 0.3018 0.9629 0.3998  1 H 1.19
B4 0.1982 0.0371 0.8998  1 H 1.19
H1 0.7485 0.4053 0.0590  1 B 1.19
H2 0.7515 0.5947 0.5591  1 B 1.19
H3 0.2515 0.9053 0.4410  1 B 1.19
H4 0.2485 0.0947 0.9410  1 B 1.19
C1 0.5937 0.2328 0.1083  3 F 1.35-1.36
C2 0.9063 0.7672 0.6083  3 F 1.35-1.36
C3 0.4063 0.7328 0.3917  3 F 1.35-1.36
C4 0.0937 0.2672 0.8917  3 F 1.35-1.36
C5 0.1985 0.2777 0.5488  3 F 1.36, 1 C 1.50
C6 0.3015 0.7223 0.0488  3 F 1.36, 1 C 1.50
C7 0.8015 0.7777 0.9512  3 F 1.36, 1 C 1.50
C8 0.6985 0.2223 0.4512  3 F 1.36, 1 C 1.50
C9 0.3925 0.3962 0.3214  3 F 1.35-1.36, 1 C 1.51
C10 0.1075 0.6038 0.8214  3 F 1.35-1.36, 1 C 1.51
C11 0.6075 0.8962 0.1786  3 F 1.35-1.36, 1 C 1.51
C12 0.8925 0.1038 0.6786  3 F 1.35-1.36, 1 C 1.51
C13 0.4812 0.3784 0.2540  2 N 1.33-1.36
C14 0.0188 0.6216 0.7540  2 N 1.33-1.36
C15 0.5188 0.8784 0.2460  2 N 1.33-1.36
C16 0.9812 0.1216 0.7460  2 N 1.33-1.36
C17 0.5736 0.3094 0.1648  2 N 1.34-1.36
C18 0.9264 0.6906 0.6648  2 N 1.34-1.36
C19 0.4264 0.8094 0.3352  2 N 1.34-1.36
C20 0.0736 0.1906 0.8352  2 N 1.34-1.36
C21 0.0808 0.4335 0.0832  3 F 1.36, 1 C 1.51
C22 0.4192 0.5665 0.5832  3 F 1.36, 1 C 1.51
C23 0.9192 0.9335 0.4168  3 F 1.36, 1 C 1.51
C24 0.5808 0.0665 0.9168  3 F 1.36, 1 C 1.51
C25 0.9956 0.5069 0.1282  2 N 1.32-1.37
C26 0.5044 0.4931 0.6282  2 N 1.32-1.37
C27 0.0044 0.0069 0.3718  2 N 1.32-1.37
C28 0.4956 0.9931 0.8718  2 N 1.32-1.37
C29 0.4544 0.0334 0.5100  2 N 1.32-1.37
C30 0.0456 0.9666 0.0100  2 N 1.32-1.37
C31 0.5456 0.5334 0.9900  2 N 1.32-1.37
C32 0.9544 0.4666 0.4900  2 N 1.32-1.37
C33 0.0412 0.1225 0.3032  2 N 1.33-1.35
C34 0.4588 0.8775 0.8032  2 N 1.33-1.35
C35 0.9588 0.6225 0.1968  2 N 1.33-1.35
C36 0.5412 0.3775 0.6968  2 N 1.33-1.35
C37 0.0834 0.3587 0.5395  2 N 1.33-1.35
C38 0.4166 0.6413 0.0395  2 N 1.33-1.35
C39 0.9166 0.8587 0.9605  2 N 1.33-1.35
C40 0.5834 0.1413 0.4605  2 N 1.33-1.35
C41 0.1080 0.0330 0.0669  3 F 1.35-1.36, 1 C 1.51
C42 0.3920 0.9670 0.5669  3 F 1.35-1.36, 1 C 1.51
C43 0.8920 0.5330 0.4331  3 F 1.35-1.36, 1 C 1.51
C44 0.6080 0.4670 0.9331  3 F 1.35-1.36, 1 C 1.51
C45 0.0092 0.2066 0.2548  3 F 1.36, 1 C 1.50
C46 0.4908 0.7934 0.7548  3 F 1.36, 1 C 1.50
C47 0.9908 0.7066 0.2452  3 F 1.36, 1 C 1.50
C48 0.5092 0.2934 0.7452  3 F 1.36, 1 C 1.50
N1 0.4975 0.2892 0.2246  2 C 1.34-1.36
N2 0.0025 0.7108 0.7246  2 C 1.34-1.36
N3 0.5025 0.7892 0.2754  2 C 1.34-1.36
N4 0.9975 0.2108 0.7754  2 C 1.34-1.36
N5 0.4137 0.0327 0.4404  1 N 1.36, 1 C 1.37
N6 0.0863 0.9673 0.9404  1 N 1.36, 1 C 1.37
N7 0.5863 0.5327 0.0596  1 N 1.36, 1 C 1.37
N8 0.9137 0.4673 0.5596  1 N 1.36, 1 C 1.37
N9 0.4989 0.1037 0.4084  1 C 1.33, 1 N 1.36
N10 0.0011 0.8963 0.9084  1 C 1.33, 1 N 1.36
N11 0.5011 0.6037 0.0916  1 C 1.33, 1 N 1.36
N12 0.9989 0.3963 0.5916  1 C 1.33, 1 N 1.36
N13 0.1622 0.0191 0.3656  1 N 1.36, 1 C 1.37
N14 0.3378 0.9809 0.8656  1 N 1.36, 1 C 1.37
N15 0.8378 0.5191 0.1344  1 N 1.36, 1 C 1.37
N16 0.6622 0.4809 0.6344  1 N 1.36, 1 C 1.37
N17 0.0606 0.3997 0.4758  2 C 1.32-1.35
N18 0.4394 0.6003 0.9758  2 C 1.32-1.35
N19 0.9394 0.8997 0.0242  2 C 1.32-1.35
N20 0.5606 0.1003 0.5242  2 C 1.32-1.35
N21 0.1849 0.0946 0.3205  1 C 1.33, 1 N 1.36
N22 0.3151 0.9054 0.8205  1 C 1.33, 1 N 1.36
N23 0.8151 0.5946 0.1795  1 C 1.33, 1 N 1.36
N24 0.6849 0.4054 0.6795  1 C 1.33, 1 N 1.36
N25 0.0745 0.5706 0.1667  2 C 1.32-1.35
N26 0.4255 0.4294 0.6667  2 C 1.32-1.35
N27 0.9255 0.0706 0.3333  2 C 1.32-1.35
N28 0.5745 0.9294 0.8333  2 C 1.32-1.35
N29 0.6050 0.4058 0.1591  1 C 1.36, 1 N 1.36
N30 0.8950 0.5942 0.6591  1 C 1.36, 1 N 1.36
N31 0.3950 0.9058 0.3409  1 C 1.36, 1 N 1.36
N32 0.1050 0.0942 0.8409  1 C 1.36, 1 N 1.36
N33 0.5439 0.4504 0.2171  1 C 1.33, 1 N 1.36
N34 0.9561 0.5496 0.7171  1 C 1.33, 1 N 1.36
N35 0.4561 0.9504 0.2829  1 C 1.33, 1 N 1.36
N36 0.0439 0.0496 0.7829  1 C 1.33, 1 N 1.36
F1 0.0578 0.1262 0.0577  1 C 1.36
F2 0.4422 0.8738 0.5577  1 C 1.36
F3 0.9422 0.6262 0.4423  1 C 1.36
F4 0.5578 0.3738 0.9423  1 C 1.36
F5 0.2347 0.4329 0.1011  1 C 1.36
F6 0.2653 0.5671 0.6011  1 C 1.36
F7 0.7653 0.9329 0.3989  1 C 1.36
F8 0.7347 0.0671 0.8989  1 C 1.36
F9 0.4840 0.2464 0.0572  1 C 1.36
F10 0.0160 0.7536 0.5572  1 C 1.36
F11 0.5160 0.7464 0.4428  1 C 1.36
F12 0.9840 0.2536 0.9428  1 C 1.36
F13 0.0719 0.4563 0.0135  1 C 1.36
F14 0.4281 0.5437 0.5135  1 C 1.36
F15 0.9281 0.9563 0.4865  1 C 1.36
F16 0.5719 0.0437 0.9865  1 C 1.36
F17 0.3330 0.3118 0.3473  1 C 1.36
F18 0.1670 0.6882 0.8473  1 C 1.36
F19 0.6670 0.8118 0.1527  1 C 1.36
F20 0.8330 0.1882 0.6527  1 C 1.36
F21 0.0235 0.7896 0.2087  1 C 1.36
F22 0.4765 0.2104 0.7087  1 C 1.36
F23 0.9765 0.2896 0.2913  1 C 1.36
F24 0.5235 0.7104 0.7913  1 C 1.36
F25 0.5703 0.1433 0.1364  1 C 1.36
F26 0.9297 0.8567 0.6364  1 C 1.36
F27 0.4297 0.6433 0.3636  1 C 1.36
F28 0.0703 0.3567 0.8636  1 C 1.36
F29 0.1158 0.6881 0.2873  1 C 1.36
F30 0.3842 0.3119 0.7873  1 C 1.36
F31 0.8842 0.1881 0.2127  1 C 1.36
F32 0.6158 0.8119 0.7127  1 C 1.36
F33 0.4855 0.4355 0.3716  1 C 1.35
F34 0.0145 0.5645 0.8716  1 C 1.35
F35 0.5145 0.9355 0.1284  1 C 1.35
F36 0.9855 0.0645 0.6284  1 C 1.35
F37 0.1946 0.2424 0.6156  1 C 1.36
F38 0.3054 0.7576 0.1156  1 C 1.36
F39 0.8054 0.7424 0.8844  1 C 1.36
F40 0.6946 0.2576 0.3844  1 C 1.36
F41 0.3464 0.3086 0.5348  1 C 1.36
F42 0.1536 0.6914 0.0348  1 C 1.36
F43 0.6536 0.8086 0.9652  1 C 1.36
F44 0.8464 0.1914 0.4652  1 C 1.36
F45 0.1690 0.2026 0.5038  1 C 1.36
F46 0.3310 0.7974 0.0038  1 C 1.36
F47 0.8310 0.7026 0.9962  1 C 1.36
F48 0.6690 0.2974 0.4962  1 C 1.36
F49 0.1348 0.2250 0.2130  1 C 1.36
F50 0.3652 0.7750 0.7130  1 C 1.36
F51 0.8652 0.7250 0.2870  1 C 1.36
F52 0.6348 0.2750 0.7870  1 C 1.36
F53 0.7358 0.2333 0.0773  1 C 1.35
F54 0.7642 0.7667 0.5773  1 C 1.35
F55 0.2642 0.7333 0.4227  1 C 1.35
F56 0.2358 0.2667 0.9227  1 C 1.35
F57 0.2669 0.0345 0.0681  1 C 1.36
F58 0.2331 0.9655 0.5681  1 C 1.36
F59 0.7331 0.5345 0.4319  1 C 1.36
F60 0.7669 0.4655 0.9319  1 C 1.36
F61 0.0580 0.0027 0.1309  1 C 1.35
F62 0.4420 0.9973 0.6309  1 C 1.35
F63 0.9420 0.5027 0.3691  1 C 1.35
F64 0.5580 0.4973 0.8691  1 C 1.35
F65 0.2720 0.4582 0.3092  1 C 1.36
F66 0.2280 0.5418 0.8092  1 C 1.36
F67 0.7280 0.9582 0.1908  1 C 1.36
F68 0.7720 0.0418 0.6908  1 C 1.36
F69 0.0256 0.3418 0.0918  1 C 1.36
F70 0.4744 0.6582 0.5918  1 C 1.36
F71 0.9744 0.8418 0.4082  1 C 1.36
F72 0.5256 0.1582 0.9082  1 C 1.36

---

An optimized crystal structure of Li3ScCl6, computed with PBE-GGA.

Output
Energy of formation   -2297 meV per atom
Density   2.2 g/cm3
Excess energy over the best structure of this formula in the dataset   0 meV/atom
Crystal system   monoclinic
Raw total energy   -4.2440 eV per atom

abc: 6.3557 6.3557 24.2717
angles: 87.31 87.31 119.71
Last column: nearest neighbours and their distance in Å.
Sites, in units of the cell vectors:
Li1 0.0831 0.1669 0.6250  6 Cl 2.54-2.66
Li2 0.8331 0.9169 0.3750  6 Cl 2.54-2.66
Li3 0.5832 0.6646 0.1250  6 Cl 2.52-2.65
Li4 0.4167 0.8334 0.6250  6 Cl 2.56-2.61
Li5 0.3355 0.4168 0.8750  6 Cl 2.52-2.65
Li6 0.7067 0.7921 0.7500  6 Cl 2.58-2.68
Li7 0.1666 0.5833 0.3750  6 Cl 2.56-2.61
Li8 0.6246 0.3754 0.0000  6 Cl 2.57-2.72
Li9 0.4571 0.5429 0.5000  6 Cl 2.58-2.67
Li10 0.9167 0.3357 0.1251  6 Cl 2.52-2.64
Li11 0.2079 0.2933 0.2500  6 Cl 2.58-2.68
Li12 0.6643 0.0833 0.8749  6 Cl 2.52-2.64
Sc1 0.7519 0.4982 0.6250  6 Cl 2.48-2.50
Sc2 0.5018 0.2481 0.3750  6 Cl 2.48-2.50
Sc3 0.2478 0.9960 0.1250  6 Cl 2.48-2.50
Sc4 0.0040 0.7522 0.8750  6 Cl 2.48-2.50
Cl1 0.4177 0.4905 0.6844  1 Sc 2.49, 3 Li 2.56-2.66
Cl2 0.6984 0.4573 0.8166  1 Sc 2.49, 3 Li 2.54-2.62
Cl3 0.1678 0.2406 0.4344  1 Sc 2.49, 3 Li 2.56-2.66
Cl4 0.0084 0.0846 0.8161  1 Sc 2.48, 3 Li 2.55-2.65
Cl5 0.4449 0.2046 0.5672  1 Sc 2.48, 3 Li 2.54-2.61
Cl6 0.9154 0.9916 0.1839  1 Sc 2.48, 3 Li 2.55-2.65
Cl7 0.7594 0.8322 0.5656  1 Sc 2.49, 3 Li 2.56-2.66
Cl8 0.7305 0.1504 0.6828  1 Sc 2.50, 3 Li 2.54-2.68
Cl9 0.1947 0.9545 0.3172  1 Sc 2.48, 3 Li 2.54-2.61
Cl10 0.0455 0.8053 0.6828  1 Sc 2.48, 3 Li 2.54-2.61
Cl11 0.6583 0.7215 0.9344  1 Sc 2.49, 3 Li 2.57-2.64
Cl12 0.5095 0.5823 0.3156  1 Sc 2.49, 3 Li 2.56-2.66
Cl13 0.4805 0.9005 0.4328  1 Sc 2.50, 3 Li 2.54-2.67
Cl14 0.3486 0.7675 0.8172  1 Sc 2.50, 3 Li 2.54-2.67
Cl15 0.9396 0.6906 0.0683  1 Sc 2.50, 3 Li 2.52-2.72
Cl16 0.7954 0.5551 0.4328  1 Sc 2.48, 3 Li 2.54-2.61
Cl17 0.2785 0.3417 0.0656  1 Sc 2.49, 3 Li 2.57-2.64
Cl18 0.2325 0.6514 0.1828  1 Sc 2.50, 3 Li 2.54-2.67
Cl19 0.0995 0.5195 0.5672  1 Sc 2.50, 3 Li 2.54-2.67
Cl20 0.5427 0.3016 0.1834  1 Sc 2.49, 3 Li 2.54-2.62
Cl21 0.9708 0.4052 0.9339  1 Sc 2.48, 3 Li 2.57-2.63
Cl22 0.8496 0.2695 0.3172  1 Sc 2.50, 3 Li 2.54-2.68
Cl23 0.3094 0.0604 0.9317  1 Sc 2.50, 3 Li 2.52-2.72
Cl24 0.5948 0.0292 0.0661  1 Sc 2.48, 3 Li 2.57-2.63

---

An optimized crystal structure of Tm2Pt, computed with PBE-GGA.

Output
Energy of formation   -992 meV per atom
Density   12.2 g/cm3
Crystal system   orthorhombic
Raw total energy   -5.9994 eV per atom

abc: 4.7232 7.0688 8.6592
angles: 90.00 90.00 90.00
Last column: nearest neighbours and their distance in Å.
Sites, in units of the cell vectors:
Tm1 0.2500 0.8553 0.9227  4 Pt 2.86-2.92
Tm2 0.2500 0.3553 0.5773  4 Pt 2.86-2.92
Tm3 0.7500 0.1447 0.0773  4 Pt 2.86-2.92
Tm4 0.7500 0.6447 0.4227  4 Pt 2.86-2.92
Tm5 0.2500 0.9876 0.3308  3 Pt 2.80-3.03
Tm6 0.2500 0.4876 0.1692  3 Pt 2.80-3.03
Tm7 0.7500 0.0124 0.6692  3 Pt 2.80-3.03
Tm8 0.7500 0.5124 0.8308  3 Pt 2.80-3.03
Pt1 0.2500 0.2587 0.9046  7 Tm 2.80-3.03
Pt2 0.2500 0.7587 0.5954  7 Tm 2.80-3.03
Pt3 0.7500 0.7413 0.0954  7 Tm 2.80-3.03
Pt4 0.7500 0.2413 0.4046  7 Tm 2.80-3.03

---

An optimized crystal structure of Mg3SiO5F, computed with PBE-GGA.

Output
Spin magnetization   0.10 μB/atom
Energy of formation   -3064 meV per atom
Density   3.0 g/cm3
Crystal system   orthorhombic
Raw total energy   -6.3623 eV per atom

abc: 4.7713 8.9126 10.4504
angles: 90.00 90.00 90.00
Last column: nearest neighbours and their distance in Å.
Sites, in units of the cell vectors:
Mg1 0.4779 0.9332 0.8656  5 O 2.02-2.25, 1 F 2.09
Mg2 0.0241 0.5706 0.3677  5 O 2.03-2.21, 1 F 2.04
Mg3 0.5221 0.4332 0.1344  5 O 2.02-2.25, 1 F 2.09
Mg4 0.9759 0.0706 0.6323  5 O 2.03-2.21, 1 F 2.04
Mg5 0.5241 0.0706 0.1323  5 O 2.03-2.21, 1 F 2.04
Mg6 0.9779 0.4332 0.6344  5 O 2.02-2.25, 1 F 2.09
Mg7 0.4759 0.5706 0.8677  5 O 2.03-2.21, 1 F 2.04
Mg8 0.0221 0.9332 0.3656  5 O 2.02-2.25, 1 F 2.09
Mg9 0.4975 0.7490 0.5955  1 F 2.03, 4 O 2.06-2.20
Mg10 0.0025 0.7490 0.0955  1 F 2.03, 4 O 2.06-2.20
Mg11 0.5025 0.2490 0.4045  1 F 2.03, 4 O 2.06-2.20
Mg12 0.9975 0.2490 0.9045  1 F 2.03, 4 O 2.06-2.20
Si1 0.9144 0.7497 0.7851  4 O 1.63-1.66
Si2 0.5856 0.7497 0.2851  4 O 1.63-1.66
Si3 0.0856 0.2497 0.2149  4 O 1.63-1.66
Si4 0.4144 0.2497 0.7149  4 O 1.63-1.66
O1 0.2449 0.7484 0.2843  1 Si 1.63
O2 0.2551 0.7484 0.7843  1 Si 1.63
O3 0.7551 0.2484 0.7157  1 Si 1.63
O4 0.7449 0.2484 0.2157  1 Si 1.63
O5 0.7339 0.8959 0.2129  1 Si 1.66
O6 0.7626 0.6062 0.7111  1 Si 1.66
O7 0.2661 0.3959 0.7871  1 Si 1.66
O8 0.2374 0.1062 0.2889  1 Si 1.66
O9 0.2626 0.1062 0.7889  1 Si 1.66
O10 0.2339 0.3959 0.2871  1 Si 1.66
O11 0.7374 0.6062 0.2111  1 Si 1.66
O12 0.7661 0.8959 0.7129  1 Si 1.66
O13 0.7310 0.7487 0.4292  1 Si 1.66
O14 0.7690 0.7487 0.9292  1 Si 1.66
O15 0.2690 0.2487 0.5708  1 Si 1.66
O16 0.2310 0.2487 0.0708  1 Si 1.66
O17 0.2233 0.9158 0.5390  3 Mg 2.06-2.07
O18 0.7767 0.4158 0.4610  3 Mg 2.06-2.07
O19 0.7233 0.4158 0.9610  3 Mg 2.06-2.07
O20 0.2767 0.9158 0.0390  3 Mg 2.06-2.07
F1 0.2623 0.5824 0.0365  3 Mg 2.03-2.09
F2 0.7377 0.0824 0.9635  3 Mg 2.03-2.09
F3 0.7623 0.0824 0.4635  3 Mg 2.03-2.09
F4 0.2377 0.5824 0.5365  3 Mg 2.03-2.09

---

An optimized crystal structure of LiTi3SbP6O24, computed with PBE-GGA.

Output
Spin magnetization   0.00 μB/atom
Energy of formation   -2848 meV per atom
Density   3.0 g/cm3
Crystal system   trigonal
Raw total energy   -7.5468 eV per atom

abc: 8.8305 8.8305 8.8305
angles: 58.50 58.50 58.50
Last column: nearest neighbours and their distance in Å.
Sites, in units of the cell vectors:
Li1 0.9964 0.9964 0.9964  6 O 2.38-2.47
Ti1 0.8557 0.8557 0.8557  6 O 1.93-1.99
Ti2 0.6402 0.6402 0.6402  6 O 1.91-1.98
Ti3 0.3607 0.3607 0.3607  6 O 1.92-1.97
Sb1 0.1453 0.1453 0.1453  6 O 1.97-2.01
P1 0.9656 0.2502 0.5410  4 O 1.52-1.57
P2 0.5410 0.9656 0.2502  4 O 1.52-1.57
P3 0.2502 0.5410 0.9656  4 O 1.52-1.57
P4 0.7504 0.4640 0.0331  4 O 1.52-1.59
P5 0.4640 0.0331 0.7504  4 O 1.52-1.59
P6 0.0331 0.7504 0.4640  4 O 1.52-1.59
O1 0.8621 0.7228 0.4939  1 P 1.52
O2 0.7228 0.4939 0.8621  1 P 1.52
O3 0.9406 0.0764 0.7229  1 P 1.55
O4 0.4939 0.8621 0.7228  1 P 1.52
O5 0.7863 0.4225 0.5648  1 P 1.53
O6 0.9818 0.2219 0.3707  1 P 1.57
O7 0.7229 0.9406 0.0764  1 P 1.55
O8 0.5648 0.7863 0.4225  1 P 1.53
O9 0.4225 0.5648 0.7863  1 P 1.53
O10 0.7900 0.6299 0.0036  1 P 1.54
O11 0.9253 0.2734 0.0572  1 P 1.59
O12 0.6299 0.0036 0.7900  1 P 1.54
O13 0.3707 0.9818 0.2219  1 P 1.57
O14 0.0764 0.7229 0.9406  1 P 1.55
O15 0.2219 0.3707 0.9818  1 P 1.57
O16 0.5802 0.4358 0.2144  1 P 1.53
O17 0.4358 0.2144 0.5802  1 P 1.53
O18 0.2734 0.0572 0.9253  1 P 1.59
O19 0.0036 0.7900 0.6299  1 P 1.54
O20 0.2144 0.5802 0.4358  1 P 1.53
O21 0.5023 0.1398 0.2789  1 P 1.52
O22 0.0572 0.9253 0.2734  1 P 1.59
O23 0.2789 0.5023 0.1398  1 P 1.52
O24 0.1398 0.2789 0.5023  1 P 1.52

---

What is the formula in the second record? AgBHC12N9F18

---

Number 1 is which compound? Sr2InHg

---

What is the formula in the first record? Sr2InHg